VASP calculation (GGA-PBE) on an optimized crystal structure of Na5Y2Ti2SiP5O24.

a = 9.087 Å, b = 9.090 Å, c = 22.835 Å
α = 90.00°, β = 89.93°, γ = 120.41°
Positions (direct):
Na  0.001  0.644  0.250
Na  0.628  0.631  0.748
Na  0.370  0.000  0.752
Na  0.669  0.969  0.585
Na  0.303  0.972  0.083
Na  0.674  0.698  0.080
Na  0.030  0.333  0.083
Na  0.965  0.301  0.418
Na  0.342  0.039  0.420
Na  0.005  0.989  0.505
Na  0.001  0.992  0.992
Na  0.681  0.338  0.835
Na  0.651  0.332  0.329
Na  0.346  0.668  0.168
Na  0.314  0.647  0.663
Y  0.994  0.995  0.350
Y  0.001  0.003  0.153
Y  0.666  0.337  0.978
Y  0.663  0.343  0.490
Y  0.345  0.668  0.314
Y  0.326  0.660  0.811
Ti  0.989  0.001  0.852
Ti  0.005  0.001  0.649
Ti  0.671  0.322  0.682
Ti  0.670  0.333  0.181
Ti  0.323  0.666  0.012
Ti  0.333  0.669  0.522
Si  0.723  0.014  0.747
Si  0.361  0.029  0.584
Si  0.969  0.628  0.083
P  0.316  0.012  0.249
P  0.696  0.680  0.244
P  0.986  0.305  0.248
P  0.287  0.275  0.748
P  0.987  0.715  0.749
P  0.968  0.333  0.585
P  0.666  0.635  0.589
P  0.658  0.036  0.083
P  0.380  0.343  0.084
P  0.631  0.681  0.914
P  0.044  0.362  0.916
P  0.316  0.953  0.913
P  0.626  0.959  0.423
P  0.332  0.376  0.422
P  0.049  0.668  0.420
O  0.232  0.034  0.305
O  0.814  0.769  0.298
O  0.967  0.200  0.304
O  0.199  0.166  0.804
O  0.965  0.803  0.804
O  0.841  0.032  0.806
O  0.821  0.991  0.692
O  0.176  0.183  0.695
O  0.010  0.829  0.695
O  0.777  0.784  0.188
O  0.012  0.226  0.193
O  0.201  0.982  0.195
O  0.863  0.358  0.636
O  0.506  0.139  0.638
O  0.642  0.515  0.642
O  0.871  0.500  0.141
O  0.634  0.130  0.137
O  0.499  0.364  0.137
O  0.446  0.298  0.030
O  0.842  0.545  0.030
O  0.693  0.146  0.030
O  0.428  0.132  0.524
O  0.707  0.571  0.533
O  0.860  0.290  0.529
O  0.531  0.695  0.970
O  0.159  0.463  0.972
O  0.303  0.832  0.969
O  0.527  0.849  0.478
O  0.324  0.482  0.475
O  0.168  0.679  0.472
O  0.123  0.650  0.362
O  0.522  0.880  0.368
O  0.345  0.469  0.365
O  0.126  0.469  0.862
O  0.340  0.875  0.858
O  0.533  0.661  0.858
O  0.045  0.836  0.420
O  0.804  0.977  0.421
O  0.162  0.200  0.422
O  0.040  0.189  0.912
O  0.149  0.958  0.912
O  0.809  0.849  0.911
O  0.984  0.174  0.597
O  0.174  0.003  0.599
O  0.819  0.820  0.598
O  0.008  0.823  0.089
O  0.812  0.010  0.091
O  0.195  0.195  0.092
O  0.702  0.186  0.739
O  0.466  0.290  0.743
O  0.824  0.538  0.742
O  0.688  0.506  0.239
O  0.821  0.317  0.242
O  0.492  0.173  0.239
O  0.656  0.528  0.920
O  0.865  0.333  0.922
O  0.472  0.129  0.921
O  0.648  0.139  0.427
O  0.483  0.345  0.424
O  0.874  0.506  0.426
O  0.375  0.512  0.078
O  0.156  0.635  0.073
O  0.491  0.858  0.078
O  0.357  0.843  0.579
O  0.504  0.653  0.582
O  0.144  0.496  0.580
O  0.328  0.849  0.252
O  0.518  0.656  0.249
O  0.137  0.490  0.251
O  0.315  0.457  0.749
O  0.152  0.705  0.750
O  0.533  0.846  0.749

Computed properties:
The value obtained for the size of the total moment is 0.000 μB/f.u. As for the space-group type: P1. The electronic total energy comes out at -7.387 eV per atom. The calculated volume is 1627 Å³ per cell.